This record from the Materials Project describes a geometry-optimized CuAsHO4 structure. The functional is PBE.

CIF file:
```
data_CuAsHO4
_chemical_formula_sum 'Cu8 As8 H8 O32'
_space_group_name_H-M_alt 'P -1'
_space_group_IT_number 2
_cell_length_a 6.388
_cell_length_b 7.267
_cell_length_c 17.024
_cell_angle_alpha 92.43
_cell_angle_beta 96.87
_cell_angle_gamma 97.10
loop_
_space_group_symop_operation_xyz
'x,y,z'
'-x,-y,-z'
loop_
_atom_site_label
_atom_site_type_symbol
_atom_site_fract_x
_atom_site_fract_y
_atom_site_fract_z
Cu1 Cu 0.085 0.401 0.433
Cu2 Cu 0.145 0.356 0.036
Cu3 Cu 0.375 0.085 0.932
Cu4 Cu 0.379 0.153 0.536
As1 As 0.089 0.822 0.418
As2 As 0.154 0.977 0.117
As3 As 0.355 0.657 0.919
As4 As 0.418 0.554 0.615
H1 H 0.107 0.060 0.336
H2 H 0.260 0.784 0.214
H3 H 0.274 0.395 0.838
H4 H 0.393 0.784 0.709
O1 O 0.014 0.020 0.648
O2 O 0.084 0.192 0.510
O3 O 0.089 0.155 0.909
O4 O 0.093 0.617 0.367
O5 O 0.131 0.558 0.960
O6 O 0.151 0.211 0.127
O7 O 0.208 0.602 0.549
O8 O 0.260 0.919 0.213
O9 O 0.317 0.909 0.050
O10 O 0.322 0.850 0.868
O11 O 0.342 0.933 0.459
O12 O 0.359 0.328 0.417
O13 O 0.388 0.649 0.709
O14 O 0.409 0.475 0.855
O15 O 0.423 0.310 0.010
O16 O 0.426 0.323 0.629
```

MP2020-corrected energy = -5.88 eV per atom
Mass density = 3.477 g/cm³